[1]
Below is a relaxed structure of U2NiAs2H24O24, with properties calculated at the PBE with a Hubbard U level.

Unit cell a=7.166 b=7.215 c=11.304 alpha=82.31 beta=84.70 gamma=89.72
Atoms (fractional coordinates):
1 U 0.228 0.223 0.082
2 U 0.772 0.777 0.918
3 Ni 0.000 0.500 0.500
4 As 0.260 0.743 0.001
5 As 0.740 0.257 0.999
6 H 0.099 0.254 0.680
7 H 0.172 0.449 0.696
8 H 0.172 0.959 0.769
9 H 0.177 0.964 0.630
10 H 0.198 0.280 0.371
11 H 0.269 0.776 0.441
12 H 0.282 0.681 0.573
13 H 0.348 0.412 0.401
14 H 0.374 0.850 0.243
15 H 0.436 0.590 0.771
16 H 0.452 0.119 0.683
17 H 0.470 0.407 0.706
18 H 0.530 0.593 0.294
19 H 0.548 0.881 0.317
20 H 0.564 0.410 0.229
21 H 0.626 0.150 0.757
22 H 0.652 0.588 0.599
23 H 0.718 0.319 0.427
24 H 0.731 0.224 0.559
25 H 0.802 0.720 0.629
26 H 0.823 0.036 0.370
27 H 0.828 0.041 0.231
28 H 0.828 0.551 0.304
29 H 0.901 0.746 0.320
30 O 0.061 0.388 0.671
31 O 0.089 0.817 0.907
32 O 0.190 0.734 0.518
33 O 0.195 0.183 0.246
34 O 0.203 0.533 0.084
35 O 0.213 0.036 0.692
36 O 0.228 0.353 0.436
37 O 0.258 0.247 0.919
38 O 0.283 0.905 0.098
39 O 0.423 0.539 0.695
40 O 0.433 0.805 0.318
41 O 0.459 0.727 0.906
42 O 0.541 0.273 0.094
43 O 0.567 0.195 0.682
44 O 0.577 0.461 0.305
45 O 0.717 0.095 0.902
46 O 0.742 0.753 0.081
47 O 0.772 0.647 0.564
48 O 0.787 0.964 0.308
49 O 0.797 0.467 0.916
50 O 0.805 0.817 0.754
51 O 0.810 0.266 0.482
52 O 0.911 0.183 0.093
53 O 0.939 0.612 0.329

Values from the calculation:
The symmetry is P-1 (2). The formation energy comes out at -88.94 eV/f.u. As for the total magnetization: 2.0 μB per cell. The value obtained for the final energy is -5.81 eV/atom.

---

[2]
Below is a relaxed structure of U2NiAs2H24O24, with properties calculated at the PBE with a Hubbard U level.

Unit cell a=7.237 b=7.237 c=11.319 alpha=82.13 beta=80.29 gamma=88.63
Atoms (fractional coordinates):
1 U 0.228 0.234 0.082
2 U 0.772 0.766 0.918
3 Ni 0.000 0.500 0.500
4 As 0.253 0.749 0.001
5 As 0.747 0.251 0.999
6 H 0.069 0.244 0.685
7 H 0.072 0.610 0.249
8 H 0.167 0.958 0.773
9 H 0.183 0.255 0.388
10 H 0.183 0.961 0.634
11 H 0.253 0.632 0.612
12 H 0.281 0.737 0.479
13 H 0.345 0.376 0.407
14 H 0.377 0.854 0.273
15 H 0.434 0.131 0.676
16 H 0.444 0.607 0.767
17 H 0.469 0.424 0.701
18 H 0.531 0.576 0.299
19 H 0.556 0.393 0.233
20 H 0.566 0.869 0.324
21 H 0.623 0.146 0.727
22 H 0.655 0.624 0.593
23 H 0.719 0.263 0.521
24 H 0.747 0.368 0.388
25 H 0.817 0.039 0.366
26 H 0.817 0.745 0.612
27 H 0.833 0.042 0.227
28 H 0.928 0.390 0.751
29 H 0.931 0.756 0.315
30 O 0.012 0.645 0.328
31 O 0.088 0.804 0.909
32 O 0.181 0.187 0.247
33 O 0.183 0.696 0.549
34 O 0.192 0.548 0.099
35 O 0.206 0.038 0.695
36 O 0.220 0.325 0.449
37 O 0.269 0.921 0.089
38 O 0.272 0.277 0.918
39 O 0.446 0.561 0.689
40 O 0.447 0.797 0.335
41 O 0.461 0.725 0.905
42 O 0.539 0.275 0.095
43 O 0.553 0.203 0.665
44 O 0.554 0.439 0.311
45 O 0.728 0.723 0.082
46 O 0.731 0.079 0.911
47 O 0.780 0.675 0.551
48 O 0.794 0.962 0.305
49 O 0.808 0.452 0.901
50 O 0.817 0.304 0.451
51 O 0.819 0.813 0.753
52 O 0.912 0.196 0.091
53 O 0.988 0.355 0.672

Values from the calculation:
The symmetry is P-1 (2). The formation energy comes out at -89.41 eV/f.u. As for the total magnetization: 2.0 μB per cell. The value obtained for the final energy is -5.82 eV/atom.